Entry 1:
Here is crystalline Mo3WSe8 at its relaxed geometry from the Materials Project. Energies are from PBE.

The structure in POSCAR format:
```
Mo3WSe8
1.0
-3.076 -0.395 -1.195
2.230 -2.445 -0.311
-11.066 -14.316 33.217
Mo W Se
3 1 8
Direct
0.000 0.000 0.094
0.333 0.667 0.282
0.333 0.667 0.658
0.000 0.000 0.470
0.000 0.000 0.326
0.000 0.000 0.702
0.333 0.667 0.050
0.333 0.667 0.425
0.333 0.667 0.138
0.333 0.667 0.514
0.000 0.000 0.237
0.000 0.000 0.613
```

Size of the total moment ... 0.0000 μB per atom
Energy relative to the elements ... -0.958 eV per atom
Energy with MP2020 corrections ... -84.957 eV/cell

Entry 2:
Here is crystalline Cr2HgS4 at its relaxed geometry from the Materials Project. Energies are from PBE.

The structure in POSCAR format:
```
Cr2HgS4
1.0
0.000 5.173 5.173
5.173 0.000 5.173
5.173 5.173 0.000
Cr Hg S
4 2 8
Direct
0.625 0.625 0.625
0.125 0.625 0.625
0.625 0.625 0.125
0.625 0.125 0.625
0.000 0.000 0.000
0.250 0.250 0.250
0.392 0.824 0.392
0.858 0.858 0.426
0.858 0.858 0.858
0.426 0.858 0.858
0.392 0.392 0.392
0.824 0.392 0.392
0.858 0.426 0.858
0.392 0.392 0.824
```

E above lowest polymorph ... 0 meV/atom
Energy relative to the elements ... -0.854 eV per atom
Energy with MP2020 corrections ... -84.268 eV/cell

Entry 3:
Here is crystalline Ca2Sn9O13 at its relaxed geometry from the Materials Project. Energies are from PBE.

The structure in POSCAR format:
```
Ca2Sn9O13
1.0
1.636 5.606 0.000
-1.636 5.606 0.000
0.000 3.353 22.165
Ca Sn O
2 9 13
Direct
0.755 0.755 0.212
0.245 0.245 0.788
0.500 0.500 0.500
0.356 0.356 0.042
0.644 0.644 0.958
0.226 0.226 0.417
0.774 0.774 0.583
0.053 0.053 0.137
0.947 0.947 0.863
0.958 0.958 0.305
0.042 0.042 0.695
0.000 0.000 0.000
0.097 0.097 0.227
0.903 0.903 0.773
0.673 0.673 0.119
0.327 0.327 0.881
0.420 0.420 0.135
0.580 0.580 0.865
0.355 0.355 0.269
0.645 0.645 0.731
0.599 0.599 0.413
0.401 0.401 0.587
0.881 0.881 0.490
0.119 0.119 0.510
```

Size of the total moment ... 0.0000 μB per atom
Energy relative to the elements ... -1.838 eV per atom
Energy with MP2020 corrections ... -148.524 eV/cell

Entry 4:
Here is crystalline Os4C13S2O12 at its relaxed geometry from the Materials Project. Energies are from PBE.

The structure in POSCAR format:
```
Os4C13S2O12
1.0
7.727 0.000 0.000
-3.261 9.590 0.000
-0.760 -1.816 14.846
Os C S O
8 26 4 24
Direct
0.462 0.635 0.664
0.823 0.226 0.133
0.846 0.489 0.233
0.154 0.511 0.767
0.538 0.365 0.336
0.321 0.866 0.702
0.177 0.774 0.867
0.679 0.134 0.298
0.939 0.418 0.825
0.678 0.129 0.425
0.567 0.997 0.725
0.701 0.578 0.169
0.340 0.252 0.397
0.990 0.680 0.939
0.118 0.943 0.892
0.381 0.716 0.789
0.923 0.632 0.333
0.783 0.986 0.287
0.299 0.422 0.831
0.433 0.003 0.275
0.358 0.821 0.968
0.077 0.368 0.667
0.660 0.748 0.603
0.532 0.470 0.661
0.468 0.530 0.339
0.217 0.014 0.713
0.619 0.284 0.211
0.703 0.428 0.442
0.010 0.320 0.061
0.642 0.179 0.032
0.322 0.871 0.575
0.297 0.572 0.558
0.882 0.057 0.108
0.061 0.582 0.175
0.977 0.314 0.284
0.023 0.686 0.716
0.607 0.729 0.820
0.393 0.271 0.180
0.809 0.357 0.858
0.124 0.377 0.017
0.919 0.956 0.090
0.610 0.629 0.131
0.571 0.368 0.663
0.081 0.044 0.910
0.324 0.878 0.498
0.284 0.925 0.262
0.191 0.643 0.142
0.027 0.282 0.605
0.470 0.847 0.028
0.676 0.122 0.502
0.530 0.153 0.972
0.201 0.533 0.492
0.799 0.467 0.508
0.973 0.718 0.395
0.429 0.632 0.337
0.716 0.075 0.738
0.160 0.107 0.718
0.222 0.182 0.434
0.390 0.371 0.869
0.876 0.623 0.983
0.840 0.893 0.282
0.778 0.818 0.566
```

Size of the total moment ... 0.0000 μB per atom
Energy relative to the elements ... -0.880 eV per atom
Energy with MP2020 corrections ... -519.592 eV/cell

Entry 5:
Here is crystalline FeSe at its relaxed geometry from the Materials Project. Energies are from PBE.

The structure in POSCAR format:
```
FeSe
1.0
1.899 2.883 0.533
-3.172 1.044 1.024
1.432 -2.172 6.650
Fe Se
2 2
Direct
0.000 0.000 0.000
0.500 0.500 0.000
0.750 0.250 0.744
0.250 0.750 0.256
```

Size of the total moment ... 1.4549 μB per atom
Energy relative to the elements ... 0.114 eV per atom
Energy with MP2020 corrections ... -23.476 eV/cell

Entry 6:
Here is crystalline Lu2MgSe4 at its relaxed geometry from the Materials Project. Energies are from PBE.

The structure in POSCAR format:
```
Lu2MgSe4
1.0
13.053 0.000 0.000
0.000 7.761 0.000
0.000 0.000 13.332
Lu Mg Se
16 8 32
Direct
0.108 0.882 0.686
0.892 0.118 0.186
0.392 0.882 0.186
0.608 0.118 0.686
0.128 0.380 0.326
0.872 0.620 0.826
0.372 0.380 0.826
0.628 0.620 0.326
0.133 0.629 0.989
0.867 0.371 0.489
0.367 0.629 0.489
0.633 0.371 0.989
0.133 0.129 0.990
0.867 0.871 0.490
0.367 0.129 0.490
0.633 0.871 0.990
0.110 0.381 0.689
0.890 0.619 0.189
0.390 0.381 0.189
0.610 0.619 0.689
0.127 0.878 0.322
0.873 0.122 0.822
0.373 0.878 0.822
0.627 0.122 0.322
0.014 0.876 0.877
0.986 0.124 0.377
0.486 0.876 0.377
0.514 0.124 0.877
0.037 0.374 0.131
0.963 0.626 0.631
0.463 0.374 0.631
0.537 0.626 0.131
0.020 0.374 0.870
0.980 0.626 0.370
0.480 0.374 0.370
0.520 0.626 0.870
0.040 0.873 0.135
0.960 0.127 0.635
0.460 0.873 0.635
0.540 0.127 0.135
0.214 0.879 0.506
0.786 0.121 0.006
0.286 0.879 0.006
0.714 0.121 0.506
0.214 0.379 0.517
0.786 0.621 0.017
0.286 0.379 0.017
0.714 0.621 0.517
0.230 0.128 0.780
0.770 0.872 0.280
0.270 0.128 0.280
0.730 0.872 0.780
0.230 0.631 0.779
0.770 0.369 0.279
0.270 0.631 0.279
0.730 0.369 0.779
```

E above lowest polymorph ... 53 meV/atom
Size of the total moment ... 0.0000 μB per atom
Energy relative to the elements ... -1.898 eV per atom
Energy with MP2020 corrections ... -303.291 eV/cell

Number 1: volume 30.15 Å³ per atom, final energy -81.2 eV for the cell shown. Number 2: volume 19.78 Å³ per atom, final energy -80.2 eV for the cell shown. Number 3: volume 16.94 Å³ per atom, final energy -139.6 eV for the cell shown. Number 4: volume 17.74 Å³ per atom, final energy -501.1 eV for the cell shown. Number 5: volume 21.33 Å³ per atom, final energy -22.5 eV for the cell shown. Number 6: volume 24.12 Å³ per atom, final energy -288.2 eV for the cell shown.